1.
Entry from the Materials Project: a relaxed MgW2O4 crystal (GGA+U).

Structure (POSCAR):
```
MgW2O4
1.0
-0.880 2.187 5.865
-0.490 -4.187 4.709
20.054 0.094 6.252
Mg W O
8 16 32
Direct
0.636 0.636 0.030
0.113 0.113 0.127
0.910 0.910 0.281
0.390 0.390 0.375
0.621 0.621 0.623
0.517 0.517 0.495
0.868 0.868 0.877
0.748 0.748 0.749
0.614 0.113 0.123
0.253 0.253 0.251
0.113 0.614 0.123
0.141 0.141 0.543
0.897 0.397 0.379
0.595 0.595 0.224
0.388 0.388 0.812
0.397 0.897 0.379
0.129 0.622 0.619
0.890 0.890 0.471
0.622 0.129 0.619
0.871 0.368 0.878
0.368 0.871 0.878
0.104 0.104 0.686
0.982 0.982 0.009
0.342 0.342 0.959
0.281 0.817 0.065
0.929 0.929 0.180
0.817 0.281 0.065
0.801 0.801 0.065
0.426 0.426 0.177
0.551 0.100 0.313
0.404 0.956 0.187
0.211 0.211 0.433
0.100 0.551 0.313
0.295 0.295 0.069
0.079 0.079 0.320
0.956 0.404 0.187
0.779 0.346 0.559
0.703 0.703 0.437
0.684 0.227 0.433
0.439 0.439 0.670
0.346 0.779 0.559
0.582 0.582 0.324
0.330 0.330 0.553
0.227 0.684 0.433
0.918 0.918 0.683
0.027 0.577 0.813
0.919 0.466 0.683
0.688 0.688 0.933
0.577 0.027 0.813
0.802 0.802 0.564
0.575 0.575 0.814
0.466 0.919 0.683
0.150 0.150 0.946
0.159 0.721 0.944
0.048 0.048 0.829
0.721 0.159 0.944
```

Summary:
ΔE_f (eV/f.u.): -12.43
Total magnetic moment (μB per cell): 44.0
Energy above the lowest structure with this stoichiometry (eV/atom): 0.1364

---

2.
Entry from the Materials Project: a relaxed BaMn2Si2O7 crystal (GGA+U).

Structure (POSCAR):
```
BaMn2Si2O7
1.0
-4.542 -0.252 -6.010
-2.470 -2.103 6.803
-4.323 13.300 2.620
Ba Mn Si O
4 8 8 28
Direct
0.281 0.311 0.122
0.689 0.719 0.378
0.719 0.689 0.878
0.311 0.281 0.622
0.733 0.267 0.250
0.267 0.733 0.750
0.270 0.730 0.250
0.730 0.270 0.750
0.233 0.700 0.509
0.300 0.767 0.991
0.767 0.300 0.491
0.700 0.233 0.009
0.907 0.660 0.135
0.340 0.093 0.365
0.093 0.340 0.865
0.660 0.907 0.635
0.075 0.277 0.381
0.723 0.925 0.119
0.925 0.723 0.619
0.277 0.075 0.881
0.135 0.691 0.115
0.309 0.865 0.385
0.865 0.309 0.885
0.691 0.135 0.615
0.216 0.441 0.299
0.559 0.784 0.201
0.784 0.559 0.701
0.441 0.216 0.799
0.885 0.619 0.515
0.381 0.115 0.985
0.115 0.381 0.485
0.619 0.885 0.015
0.833 0.177 0.133
0.823 0.167 0.367
0.167 0.823 0.867
0.177 0.833 0.633
0.926 0.891 0.121
0.109 0.074 0.379
0.074 0.109 0.879
0.891 0.926 0.621
0.854 0.586 0.246
0.414 0.146 0.254
0.146 0.414 0.754
0.586 0.854 0.746
0.728 0.506 0.061
0.494 0.272 0.439
0.272 0.494 0.939
0.506 0.728 0.561
```

Summary:
ΔE_f (eV/f.u.): -35.22
Total magnetic moment (μB per cell): 40.0